Record 1
This record from the Materials Project describes PrMgCoO3 after structural relaxation. The functional is PBE with a Hubbard U.

E (MP2020) in eV for the cell shown: -120.4
Total energy in eV/atom: -6.070
Formation energy in eV per atom: -1.964
E above lowest polymorph in meV per atom: 0

CIF file:
```
data_PrMgCoO3
_chemical_formula_sum 'Pr3 Mg3 Co3 O9'
_space_group_name_H-M_alt 'R 3 m'
_space_group_IT_number 160
_space_group_name_Hall 'R 3 -2"'
_cell_length_a 5.8733
_cell_length_b 5.8733
_cell_length_c 8.9531
_cell_angle_alpha 90.00
_cell_angle_beta 90.00
_cell_angle_gamma 120.00
loop_
_atom_site_label
_atom_site_fract_x
_atom_site_fract_y
_atom_site_fract_z
Pr1 0.0000 0.0000 0.0000
Mg1 0.0000 0.0000 0.6000
Co1 0.0000 0.0000 0.3187
O1 0.9998 0.4999 0.8341
```


Record 2
This record from the Materials Project describes RbMg6CoO8 after structural relaxation. The functional is PBE with a Hubbard U.

E (MP2020) in eV for the cell shown: -93.3
Total energy in eV/atom: -5.383
Formation energy in eV per atom: -2.249
E above lowest polymorph in meV per atom: 13

CIF file:
```
data_RbMg6CoO8
_chemical_formula_sum 'Rb1 Mg6 Co1 O8'
_space_group_name_H-M_alt 'P 4/m m m'
_space_group_IT_number 123
_space_group_name_Hall '-P 4 2'
_cell_length_a 4.571
_cell_length_b 4.571
_cell_length_c 8.666
_cell_angle_alpha 90.00
_cell_angle_beta 90.00
_cell_angle_gamma 90.00
loop_
_atom_site_label
_atom_site_fract_x
_atom_site_fract_y
_atom_site_fract_z
Rb1 0.000 0.000 0.000
Mg1 0.000 0.500 0.258
Mg2 0.500 0.500 0.000
Mg3 0.500 0.500 0.500
Co1 0.000 0.000 0.500
O1 0.000 0.000 0.286
O2 0.000 0.500 0.000
O3 0.000 0.500 0.500
O4 0.500 0.500 0.252
```


Record 3
This record from the Materials Project describes Rb4MgCo2O6 after structural relaxation. The functional is PBE with a Hubbard U.

E (MP2020) in eV for the cell shown: -132.9
Total energy in eV/atom: -4.544
Formation energy in eV per atom: -1.311
E above lowest polymorph in meV per atom: 244

CIF file:
```
data_Rb4MgCo2O6
_chemical_formula_sum 'Rb8 Mg2 Co4 O12'
_space_group_name_H-M_alt 'C 1 m 1'
_space_group_IT_number 8
_cell_length_a 7.573
_cell_length_b 10.536
_cell_length_c 5.911
_cell_angle_alpha 90.00
_cell_angle_beta 95.26
_cell_angle_gamma 90.00
loop_
_space_group_symop_operation_xyz
'x,y,z'
'x,-y,z'
'x+1/2,y+1/2,z'
'x+1/2,-y+1/2,z'
loop_
_atom_site_label
_atom_site_fract_x
_atom_site_fract_y
_atom_site_fract_z
Rb1 0.000 0.187 0.000
Rb2 0.098 0.308 0.542
Mg1 0.283 0.500 0.263
Co1 0.226 0.000 0.503
Co2 0.376 0.000 0.013
O1 0.129 0.500 0.006
O2 0.297 0.122 0.761
O3 0.307 0.122 0.262
O4 0.472 0.500 0.478
```


Record 4
This record from the Materials Project describes RbMg6CoO8 after structural relaxation. The functional is PBE with a Hubbard U.

E (MP2020) in eV for the cell shown: -93.5
Total energy in eV/atom: -5.396
Formation energy in eV per atom: -2.262
E above lowest polymorph in meV per atom: 0

CIF file:
```
data_RbMg6CoO8
_chemical_formula_sum 'Rb1 Mg6 Co1 O8'
_space_group_name_H-M_alt 'P 4/m m m'
_space_group_IT_number 123
_space_group_name_Hall '-P 4 2'
_cell_length_a 4.417
_cell_length_b 4.417
_cell_length_c 9.056
_cell_angle_alpha 90.00
_cell_angle_beta 90.00
_cell_angle_gamma 90.00
loop_
_atom_site_label
_atom_site_fract_x
_atom_site_fract_y
_atom_site_fract_z
Rb1 0.000 0.000 0.000
Mg1 0.000 0.000 0.500
Mg2 0.000 0.500 0.267
Mg3 0.500 0.500 0.500
Co1 0.500 0.500 0.000
O1 0.000 0.000 0.280
O2 0.000 0.500 0.000
O3 0.000 0.500 0.500
O4 0.500 0.500 0.254
```


Record 5
This record from the Materials Project describes Rb4MgCo2O6 after structural relaxation. The functional is PBE with a Hubbard U.

E (MP2020) in eV for the cell shown: -69.6
Total energy in eV/atom: -4.788
Formation energy in eV per atom: -1.555
E above lowest polymorph in meV per atom: 0

CIF file:
```
data_Rb4MgCo2O6
_chemical_formula_sum 'Rb4 Mg1 Co2 O6'
_space_group_name_H-M_alt 'P 1'
_space_group_IT_number 1
_cell_length_a 6.193
_cell_length_b 6.299
_cell_length_c 7.228
_cell_angle_alpha 83.61
_cell_angle_beta 74.96
_cell_angle_gamma 66.72
loop_
_space_group_symop_operation_xyz
'x,y,z'
loop_
_atom_site_label
_atom_site_fract_x
_atom_site_fract_y
_atom_site_fract_z
Rb1 0.000 0.000 0.000
Rb2 0.118 0.695 0.474
Rb3 0.384 0.260 0.057
Rb4 0.693 0.616 0.298
Mg1 0.204 0.170 0.551
Co1 0.587 0.709 0.790
Co2 0.734 0.190 0.578
O1 0.021 0.157 0.366
O2 0.364 0.854 0.646
O3 0.448 0.668 0.033
O4 0.480 0.276 0.465
O5 0.733 0.956 0.758
O6 0.853 0.397 0.695
```


Record 6
This record from the Materials Project describes Sr4MgCo2S2O6 after structural relaxation. The functional is PBE with a Hubbard U.

E (MP2020) in eV for the cell shown: -93.8
Total energy in eV/atom: -5.690
Formation energy in eV per atom: -2.215

CIF file:
```
data_Sr4MgCo2S2O6
_chemical_formula_sum 'Sr4 Mg1 Co2 S2 O6'
_space_group_name_H-M_alt 'P -4 m 2'
_space_group_IT_number 115
_cell_length_a 3.882
_cell_length_b 3.882
_cell_length_c 16.301
_cell_angle_alpha 90.00
_cell_angle_beta 90.00
_cell_angle_gamma 90.00
loop_
_space_group_symop_operation_xyz
'x,y,z'
'y,-x,-z'
'-x,-y,z'
'-y,x,-z'
'-x,y,z'
'-y,-x,-z'
'x,-y,z'
'y,x,-z'
loop_
_atom_site_label
_atom_site_fract_x
_atom_site_fract_y
_atom_site_fract_z
Sr1 0.000 0.500 0.085
Sr2 0.000 0.500 0.308
Mg1 0.000 0.000 0.500
Co1 0.000 0.500 0.813
S1 0.000 0.500 0.596
O1 0.000 0.000 0.207
O2 0.000 0.500 0.932
O3 0.500 0.500 0.207
```


Record 7
This record from the Materials Project describes MgCo4Sb2O12 after structural relaxation. The functional is PBE with a Hubbard U.

E (MP2020) in eV for the cell shown: -251.6
Total energy in eV/atom: -5.842
Formation energy in eV per atom: -1.480
E above lowest polymorph in meV per atom: 90

CIF file:
```
data_MgCo4Sb2O12
_chemical_formula_sum 'Mg2 Co8 Sb4 O24'
_space_group_name_H-M_alt 'C 1 m 1'
_space_group_IT_number 8
_cell_length_a 5.190
_cell_length_b 9.215
_cell_length_c 10.439
_cell_angle_alpha 90.00
_cell_angle_beta 90.57
_cell_angle_gamma 90.00
loop_
_space_group_symop_operation_xyz
'x,y,z'
'x,-y,z'
'x+1/2,y+1/2,z'
'x+1/2,-y+1/2,z'
loop_
_atom_site_label
_atom_site_fract_x
_atom_site_fract_y
_atom_site_fract_z
Mg1 0.000 0.000 0.000
Co1 0.359 0.167 0.280
Co2 0.369 0.332 0.759
Sb1 0.362 0.500 0.296
Sb2 0.364 0.000 0.771
O1 0.002 0.500 0.369
O2 0.021 0.335 0.677
O3 0.030 0.000 0.671
O4 0.050 0.165 0.378
O5 0.156 0.000 0.170
O6 0.177 0.150 0.878
O7 0.191 0.332 0.192
O8 0.202 0.500 0.873
```


Record 8
This record from the Materials Project describes MgCo4Sb2O12 after structural relaxation. The functional is PBE with a Hubbard U.

E (MP2020) in eV for the cell shown: -127.1
Total energy in eV/atom: -5.911
Formation energy in eV per atom: -1.549
E above lowest polymorph in meV per atom: 21

CIF file:
```
data_MgCo4Sb2O12
_chemical_formula_sum 'Mg1 Co4 Sb2 O12'
_space_group_name_H-M_alt 'P 1'
_space_group_IT_number 1
_cell_length_a 5.157
_cell_length_b 5.198
_cell_length_c 10.194
_cell_angle_alpha 89.25
_cell_angle_beta 89.77
_cell_angle_gamma 61.20
loop_
_space_group_symop_operation_xyz
'x,y,z'
loop_
_atom_site_label
_atom_site_fract_x
_atom_site_fract_y
_atom_site_fract_z
Mg1 0.000 0.000 0.000
Co1 0.022 0.820 0.255
Co2 0.177 0.988 0.723
Co3 0.522 0.318 0.753
Co4 0.693 0.487 0.254
Sb1 0.352 0.153 0.257
Sb2 0.851 0.655 0.754
O1 0.009 0.500 0.158
O2 0.027 0.129 0.353
O3 0.156 0.684 0.864
O4 0.196 0.333 0.659
O5 0.313 0.854 0.143
O6 0.359 0.500 0.342
O7 0.515 0.995 0.847
O8 0.529 0.628 0.656
O9 0.694 0.811 0.347
O10 0.707 0.143 0.154
O11 0.849 0.308 0.853
O12 0.867 0.967 0.643
```


Record 9
This record from the Materials Project describes MgCo4Sb2O12 after structural relaxation. The functional is PBE with a Hubbard U.

E (MP2020) in eV for the cell shown: -127.5
Total energy in eV/atom: -5.932
Formation energy in eV per atom: -1.570
E above lowest polymorph in meV per atom: 0

CIF file:
```
data_MgCo4Sb2O12
_chemical_formula_sum 'Mg1 Co4 Sb2 O12'
_space_group_name_H-M_alt 'P 1'
_space_group_IT_number 1
_cell_length_a 5.145
_cell_length_b 5.194
_cell_length_c 10.011
_cell_angle_alpha 85.39
_cell_angle_beta 81.65
_cell_angle_gamma 61.33
loop_
_space_group_symop_operation_xyz
'x,y,z'
loop_
_atom_site_label
_atom_site_fract_x
_atom_site_fract_y
_atom_site_fract_z
Mg1 0.000 0.000 0.000
Co1 0.264 0.326 0.249
Co2 0.393 0.983 0.733
Co3 0.738 0.315 0.749
Co4 0.925 0.996 0.260
Sb1 0.068 0.650 0.748
Sb2 0.595 0.668 0.254
O1 0.028 0.308 0.853
O2 0.117 0.963 0.636
O3 0.223 0.658 0.346
O4 0.268 0.002 0.148
O5 0.332 0.683 0.866
O6 0.438 0.320 0.656
O7 0.578 0.988 0.356
O8 0.639 0.310 0.153
O9 0.721 0.992 0.854
O10 0.760 0.635 0.653
O11 0.917 0.323 0.347
O12 0.940 0.707 0.143
```


Record 10
This record from the Materials Project describes Mg3Co2Si3O12 after structural relaxation. The functional is PBE with a Hubbard U.

E (MP2020) in eV for the cell shown: -1184.2
Total energy in eV/atom: -6.825
Formation energy in eV per atom: -2.667

CIF file:
```
data_Mg3Co2Si3O12
_chemical_formula_sum 'Mg24 Co16 Si24 O96'
_space_group_name_H-M_alt 'I a -3 d'
_space_group_IT_number 230
_space_group_name_Hall '-I 4bd 2c 3'
_cell_length_a 11.562
_cell_length_b 11.562
_cell_length_c 11.562
_cell_angle_alpha 90.00
_cell_angle_beta 90.00
_cell_angle_gamma 90.00
loop_
_atom_site_label
_atom_site_fract_x
_atom_site_fract_y
_atom_site_fract_z
Mg1 0.000 0.250 0.125
Co1 0.000 0.000 0.000
Si1 0.000 0.250 0.375
O1 0.032 0.052 0.655
```


Record 11
This record from the Materials Project describes Mg3Co2Si4O14 after structural relaxation. The functional is PBE with a Hubbard U.

E (MP2020) in eV for the cell shown: -690.3
Total energy in eV/atom: -6.942
Formation energy in eV per atom: -2.721

CIF file:
```
data_Mg3Co2Si4O14
_chemical_formula_sum 'Mg12 Co8 Si16 O56'
_space_group_name_H-M_alt 'C 1 2/c 1'
_space_group_IT_number 15
_cell_length_a 16.989
_cell_length_b 7.536
_cell_length_c 9.742
_cell_angle_alpha 90.00
_cell_angle_beta 124.54
_cell_angle_gamma 90.00
loop_
_space_group_symop_operation_xyz
'x,y,z'
'-x,-y,-z'
'-x,y,-z+1/2'
'x,-y,z+1/2'
'x+1/2,y+1/2,z'
'-x+1/2,-y+1/2,-z'
'-x+1/2,y+1/2,-z+1/2'
'x+1/2,-y+1/2,z+1/2'
loop_
_atom_site_label
_atom_site_fract_x
_atom_site_fract_y
_atom_site_fract_z
Mg1 0.000 0.114 0.250
Mg2 0.170 0.414 0.393
Co1 0.000 0.288 0.750
Co2 0.000 0.500 0.000
Si1 0.119 0.143 0.104
Si2 0.184 0.227 0.707
O1 0.044 0.091 0.909
O2 0.068 0.459 0.915
O3 0.071 0.268 0.178
O4 0.112 0.376 0.699
O5 0.157 0.027 0.735
O6 0.197 0.216 0.555
O7 0.212 0.227 0.118
```


Record 12
This record from the Materials Project describes Mg6CoSiO8 after structural relaxation. The functional is PBE with a Hubbard U.

E (MP2020) in eV for the cell shown: -102.2
Total energy in eV/atom: -5.943
Formation energy in eV per atom: -2.532
E above lowest polymorph in meV per atom: 0

CIF file:
```
data_Mg6CoSiO8
_chemical_formula_sum 'Mg6 Co1 Si1 O8'
_space_group_name_H-M_alt 'P 4/m m m'
_space_group_IT_number 123
_space_group_name_Hall '-P 4 2'
_cell_length_a 4.294
_cell_length_b 4.294
_cell_length_c 8.497
_cell_angle_alpha 90.00
_cell_angle_beta 90.00
_cell_angle_gamma 90.00
loop_
_atom_site_label
_atom_site_fract_x
_atom_site_fract_y
_atom_site_fract_z
Mg1 0.000 0.000 0.000
Mg2 0.000 0.000 0.500
Mg3 0.000 0.500 0.240
Co1 0.500 0.500 0.000
Si1 0.500 0.500 0.500
O1 0.000 0.000 0.252
O2 0.000 0.500 0.000
O3 0.000 0.500 0.500
O4 0.500 0.500 0.283
```